Below is a geometry-optimized Li3V2O6 structure, with properties calculated at the GGA+U level.

Unit cell a=5.0387 b=5.0387 c=5.0953 alpha=100.34 beta=100.34 gamma=119.29
With the nearest neighbours (Å) after each atom.
Fractional positions:
Li 0.0000 0.0000 0.0000  2 O 1.96
Li 0.3458 0.6542 0.0000  4 O 1.98-2.13
Li 0.6542 0.3458 0.0000  4 O 1.98-2.13
V 0.1658 0.8342 0.5000  6 O 1.89-1.93
V 0.8342 0.1658 0.5000  6 O 1.89-1.93
O 0.0378 0.4250 0.2743  2 V 1.89-1.93, 1 Li 1.98
O 0.1975 0.1975 0.7327  2 V 1.91, 3 Li 1.96-2.13
O 0.4250 0.0378 0.2743  2 V 1.89-1.93, 1 Li 1.98
O 0.5750 0.9622 0.7257  2 V 1.89-1.93, 1 Li 1.98
O 0.8025 0.8025 0.2673  2 V 1.91, 3 Li 1.96-2.13
O 0.9622 0.5750 0.7257  2 V 1.89-1.93, 1 Li 1.98

Results
The formation energy is -2380 meV/atom. For the energy, the calculation gives -6.567 eV/atom. The symmetry is C2/m (12). For the volume, the calculation gives 9.588 Å³/atom. For the offset from the most stable computed form, the calculation gives 35 meV/atom.